Entry 1:
First-principles (meta-GGA r2SCAN) data for an optimized crystal structure of Y6PdBr10, as listed in the Materials Project.

Results
E_tot, eV/cell: -308.44
Mass density, g cm⁻³: 4.386
Calculated volume, Å³/atom: 32.04
Formation energy, eV per atom: -1.824

Structure (CIF):
```
data_Y6PdBr10
_chemical_formula_sum 'Y6 Pd1 Br10'
_cell_length_a 7.291
_cell_length_b 9.134
_cell_length_c 9.161
_cell_angle_alpha 108.14
_cell_angle_beta 96.95
_cell_angle_gamma 105.48
_space_group_name_H-M_alt 'P -1'
_space_group_IT_number 2
loop_
_space_group_symop_operation_xyz
'x,y,z'
'-x,-y,-z'
loop_
_atom_site_label
_atom_site_fract_x
_atom_site_fract_y
_atom_site_fract_z
Y1 0.029 0.196 0.404
Y2 0.127 0.546 0.249
Y3 0.367 0.639 0.682
Pd1 0.000 0.500 0.500
Br1 0.088 0.872 0.323
Br2 0.213 0.238 0.146
Br3 0.258 0.585 0.962
Br4 0.358 0.960 0.775
Br5 0.451 0.319 0.587
```

***

Entry 2:
First-principles (meta-GGA r2SCAN) data for an optimized crystal structure of NdCu2Si2, as listed in the Materials Project.

Results
E_tot, eV/cell: -143.60
Mass density, g cm⁻³: 6.659
Calculated volume, Å³/atom: 16.33
Formation energy, eV per atom: -0.628

Structure (CIF):
```
data_NdCu2Si2
_chemical_formula_sum 'Nd2 Cu4 Si4'
_cell_length_a 4.069
_cell_length_b 4.069
_cell_length_c 9.866
_cell_angle_alpha 90.00
_cell_angle_beta 90.00
_cell_angle_gamma 90.00
_space_group_name_H-M_alt 'I 4/m m m'
_space_group_IT_number 139
_space_group_name_Hall '-I 4 2'
loop_
_atom_site_label
_atom_site_fract_x
_atom_site_fract_y
_atom_site_fract_z
Nd1 0.000 0.000 0.000
Cu1 0.000 0.500 0.250
Si1 0.000 0.000 0.378
```

***

Entry 3:
First-principles (meta-GGA r2SCAN) data for an optimized crystal structure of BaPPd, as listed in the Materials Project.

Results
E_tot, eV/cell: -246.45
Mass density, g cm⁻³: 5.960
Calculated volume, Å³/atom: 25.51
Formation energy, eV per atom: -1.050

Structure (CIF):
```
data_BaPPd
_chemical_formula_sum 'Ba4 P4 Pd4'
_cell_length_a 6.321
_cell_length_b 7.806
_cell_length_c 7.893
_cell_angle_alpha 90.00
_cell_angle_beta 128.17
_cell_angle_gamma 90.00
_space_group_name_H-M_alt 'P 1 21/c 1'
_space_group_IT_number 14
loop_
_space_group_symop_operation_xyz
'x,y,z'
'-x,-y,-z'
'-x,y+1/2,-z+1/2'
'x,-y+1/2,z+1/2'
loop_
_atom_site_label
_atom_site_fract_x
_atom_site_fract_y
_atom_site_fract_z
Ba1 0.132 0.020 0.317
P1 0.426 0.673 0.638
Pd1 0.497 0.623 0.378
```

***

Entry 4:
First-principles (meta-GGA r2SCAN) data for an optimized crystal structure of La4PtO7, as listed in the Materials Project.

Results
E_tot, eV/cell: -251.06
Mass density, g cm⁻³: 7.672
Calculated volume, Å³/atom: 15.56
Formation energy, eV per atom: -3.232

Structure (CIF):
```
data_La4PtO7
_chemical_formula_sum 'La4 Pt1 O7'
_cell_length_a 4.031
_cell_length_b 7.019
_cell_length_c 7.182
_cell_angle_alpha 83.20
_cell_angle_beta 73.73
_cell_angle_gamma 73.31
_space_group_name_H-M_alt 'P 1'
_space_group_IT_number 1
loop_
_space_group_symop_operation_xyz
'x,y,z'
loop_
_atom_site_label
_atom_site_fract_x
_atom_site_fract_y
_atom_site_fract_z
La1 0.000 0.000 0.000
La2 0.164 0.438 0.231
La3 0.665 0.117 0.550
La4 0.829 0.563 0.777
Pt1 0.417 0.775 0.385
O1 0.046 0.210 0.696
O2 0.210 0.633 0.946
O3 0.326 0.064 0.279
O4 0.506 0.487 0.495
O5 0.617 0.929 0.837
O6 0.784 0.346 0.083
O7 0.904 0.760 0.426
```

***

Entry 5:
First-principles (meta-GGA r2SCAN) data for an optimized crystal structure of La5C2I9, as listed in the Materials Project.

Results
E_tot, eV/cell: -829.05
Mass density, g cm⁻³: 5.245
Calculated volume, Å³/atom: 36.82
Formation energy, eV per atom: -1.555

Structure (CIF):
```
data_La5C2I9
_chemical_formula_sum 'La10 C4 I18'
_cell_length_a 8.148
_cell_length_b 10.249
_cell_length_c 14.567
_cell_angle_alpha 79.46
_cell_angle_beta 80.61
_cell_angle_gamma 85.26
_space_group_name_H-M_alt 'P -1'
_space_group_IT_number 2
loop_
_space_group_symop_operation_xyz
'x,y,z'
'-x,-y,-z'
loop_
_atom_site_label
_atom_site_fract_x
_atom_site_fract_y
_atom_site_fract_z
La1 0.050 0.464 0.325
La2 0.159 0.031 0.803
La3 0.176 0.646 0.860
La4 0.221 0.136 0.238
La5 0.237 0.839 0.581
C1 0.041 0.724 0.717
C2 0.093 0.846 0.742
I1 0.095 0.150 0.026
I2 0.119 0.157 0.499
I3 0.192 0.818 0.228
I4 0.200 0.493 0.087
I5 0.249 0.559 0.498
I6 0.250 0.361 0.772
I7 0.424 0.850 0.923
I8 0.461 0.346 0.301
I9 0.494 0.054 0.635
```

***

Entry 6:
First-principles (meta-GGA r2SCAN) data for an optimized crystal structure of ErSnPd2, as listed in the Materials Project.

Results
E_tot, eV/cell: -432.90
Mass density, g cm⁻³: 10.973
Calculated volume, Å³/atom: 18.87
Formation energy, eV per atom: -0.908

Structure (CIF):
```
data_ErSnPd2
_chemical_formula_sum 'Er4 Sn4 Pd8'
_cell_length_a 6.709
_cell_length_b 6.709
_cell_length_c 6.709
_cell_angle_alpha 90.00
_cell_angle_beta 90.00
_cell_angle_gamma 90.00
_space_group_name_H-M_alt 'F m -3 m'
_space_group_IT_number 225
_space_group_name_Hall '-F 4 2 3'
loop_
_atom_site_label
_atom_site_fract_x
_atom_site_fract_y
_atom_site_fract_z
Er1 0.000 0.000 0.000
Sn1 0.000 0.000 0.500
Pd1 0.250 0.250 0.250
```

***

Entry 7:
First-principles (meta-GGA r2SCAN) data for an optimized crystal structure of K2PtO6, as listed in the Materials Project.

Results
E_tot, eV/cell: -318.56
Mass density, g cm⁻³: 5.431
Calculated volume, Å³/atom: 12.55
Formation energy, eV per atom: -0.759

Structure (CIF):
```
data_K2PtO6
_chemical_formula_sum 'K6 Pt3 O18'
_cell_length_a 6.4598
_cell_length_b 6.4598
_cell_length_c 9.3736
_cell_angle_alpha 90.00
_cell_angle_beta 90.00
_cell_angle_gamma 120.00
_space_group_name_H-M_alt 'R -3'
_space_group_IT_number 148
_space_group_name_Hall '-R 3'
loop_
_atom_site_label
_atom_site_fract_x
_atom_site_fract_y
_atom_site_fract_z
K1 0.0000 0.0000 0.1502
Pt1 0.0000 0.0000 0.5000
O1 0.0503 0.2769 0.3706
```

***

Entry 8:
First-principles (meta-GGA r2SCAN) data for an optimized crystal structure of Al7CoCu2, as listed in the Materials Project.

Results
E_tot, eV/cell: -339.07
Mass density, g cm⁻³: 4.369
Calculated volume, Å³/atom: 14.25
Formation energy, eV per atom: -0.271

Structure (CIF):
```
data_Al7CoCu2
_chemical_formula_sum 'Al28 Co4 Cu8'
_cell_length_a 6.248
_cell_length_b 6.248
_cell_length_c 14.599
_cell_angle_alpha 90.00
_cell_angle_beta 90.00
_cell_angle_gamma 90.00
_space_group_name_H-M_alt 'P 4/m n c'
_space_group_IT_number 128
_space_group_name_Hall '-P 4 2n'
loop_
_atom_site_label
_atom_site_fract_x
_atom_site_fract_y
_atom_site_fract_z
Al1 0.000 0.000 0.132
Al2 0.087 0.296 0.400
Al3 0.156 0.656 0.250
Co1 0.000 0.000 0.299
Cu1 0.090 0.727 0.000
```